Entry 1:
A geometry-optimized Si3Mo5 structure, computed with PBE.

It has space group P6_3/mcm (No. 193), with a = 7.3200 Å, b = 7.3200 Å, c = 5.0677 Å, α = 90.00°, β = 90.00° and γ = 120.00°. Symmetry generates all atoms from Si at (0.0000, 0.3929, 0.2500), Mo at (0.0000, 0.2398, 0.7500) and Mo at (0.3333, 0.6667, 0.0000).

As for the volume: 14.70 Å³/atom. The value obtained for the energy above the most stable polymorph in this dataset is 94.5 meV/atom. The uncorrected energy comes out at -9.119 eV per atom. The formation energy is -0.31 eV per atom. Its total moment is 0.0 μB per formula unit.

=====

Entry 2:
A geometry-optimized Si3Mo5 structure, computed with PBE.

It has space group I4/mcm (No. 140), with a = 9.692 Å, b = 9.692 Å, c = 4.936 Å, α = 90.00°, β = 90.00° and γ = 90.00°. Symmetry generates all atoms from Si at (0.000, 0.000, 0.250), Si at (0.167, 0.333, 0.000), Mo at (0.000, 0.500, 0.250) and Mo at (0.077, 0.224, 0.500).

As for the volume: 14.49 Å³/atom. The value obtained for the energy above the most stable polymorph in this dataset is 0.0 meV/atom. The uncorrected energy comes out at -9.214 eV per atom. The formation energy is -0.40 eV per atom.

=====

Entry 3:
A geometry-optimized Ti2Si6Mo structure, computed with PBE.

It has space group C222 (No. 21), with a = 4.713 Å, b = 8.181 Å, c = 6.512 Å, α = 90.00°, β = 90.00° and γ = 90.00°. Symmetry generates all atoms from Ti at (0.250, 0.250, 0.167), Si at (0.000, 0.334, 0.500), Si at (0.236, 0.420, 0.833) and Mo at (0.000, 0.000, 0.500).

As for the volume: 13.95 Å³/atom. The uncorrected energy comes out at -7.118 eV per atom. The formation energy is -0.54 eV per atom.

=====

Entry 4:
A geometry-optimized TiSi6Mo2 structure, computed with PBE.

It has space group C222 (No. 21), with a = 4.712 Å, b = 8.090 Å, c = 6.487 Å, α = 90.00°, β = 90.00° and γ = 90.00°. Symmetry generates all atoms from Ti at (0.000, 0.000, 0.000), Si at (0.000, 0.342, 0.000), Si at (0.242, 0.418, 0.331) and Mo at (0.250, 0.250, 0.668).

As for the volume: 13.74 Å³/atom. The uncorrected energy comes out at -7.409 eV per atom. The formation energy is -0.50 eV per atom. Its total moment is 0.0 μB per formula unit.

=====

Entry 5:
A geometry-optimized U2Si4Mo3 structure, computed with PBE.

It has space group P2_1/c (No. 14), with a = 6.896 Å, b = 6.905 Å, c = 6.744 Å, α = 90.00°, β = 109.83° and γ = 90.00°. Symmetry generates all atoms from U at (0.186, 0.164, 0.057), Si at (0.091, 0.544, 0.872), Si at (0.498, 0.633, 0.633), Mo at (0.244, 0.664, 0.254) and Mo at (0.500, 0.000, 0.500).

As for the volume: 16.78 Å³/atom. The uncorrected energy comes out at -8.970 eV per atom. The formation energy is -0.43 eV per atom.

=====

Entry 6:
A geometry-optimized VSi4Mo structure, computed with PBE.

It has space group P2 (No. 3), with a = 4.614 Å, b = 12.894 Å, c = 4.620 Å, α = 90.00°, β = 119.92° and γ = 90.00°. Symmetry generates all atoms from V at (0.000, 0.000, 0.000), V at (0.000, 0.498, 0.000), V at (0.500, 0.332, 0.500), Si at (0.172, 0.834, 0.838), Si at (0.177, 0.334, 0.842), Si at (0.334, 0.166, 0.163), Si at (0.335, 0.662, 0.162), Si at (0.340, 0.496, 0.676), Si at (0.341, 0.000, 0.680), Mo at (0.000, 0.167, 0.500), Mo at (0.000, 0.664, 0.500) and Mo at (0.500, 0.832, 0.500).

As for the volume: 13.23 Å³/atom. The uncorrected energy comes out at -7.417 eV per atom. The formation energy is -0.48 eV per atom. Its total moment is 0.0 μB per formula unit.

=====

Entry 7:
A geometry-optimized Y2Si4Mo3 structure, computed with PBE.

It has space group P2_1/c (No. 14), with a = 6.872 Å, b = 6.938 Å, c = 6.760 Å, α = 90.00°, β = 108.88° and γ = 90.00°. Symmetry generates all atoms from Y at (0.191, 0.170, 0.062), Si at (0.090, 0.545, 0.869), Si at (0.495, 0.631, 0.628), Mo at (0.250, 0.663, 0.249) and Mo at (0.500, 0.000, 0.500).

As for the volume: 16.94 Å³/atom. The uncorrected energy comes out at -8.137 eV per atom. The formation energy is -0.67 eV per atom.

=====

Entry 8:
A geometry-optimized ZrSiMo structure, computed with PBE.

It has space group Pnma (No. 62), with a = 7.000 Å, b = 3.551 Å, c = 8.241 Å, α = 90.00°, β = 90.00° and γ = 90.00°. Symmetry generates all atoms from Zr at (0.043, 0.250, 0.168), Si at (0.243, 0.750, 0.363) and Mo at (0.132, 0.250, 0.562).

As for the volume: 17.07 Å³/atom. The uncorrected energy comes out at -8.997 eV per atom. The formation energy is -0.72 eV per atom.